A plane-wave DFT calculation with GGA-PBE was carried out for a relaxed structure of Pu3Zn.

```
data_Pu3Zn
_chemical_formula_sum 'Pu6 Zn2'
_space_group_name_H-M_alt 'P 1'
_space_group_IT_number 1
_space_group_name_Hall 'P 1'
_cell_length_a 6.481
_cell_length_b 6.481
_cell_length_c 5.230
_cell_angle_alpha 90.00
_cell_angle_beta 90.00
_cell_angle_gamma 120.00
loop_
_atom_site_label
_atom_site_type_symbol
_atom_site_fract_x
_atom_site_fract_y
_atom_site_fract_z
_atom_site_occupancy
Pu1 Pu 0.345 0.173 0.750 1
Pu2 Pu 0.827 0.655 0.750 1
Zn1 Zn 0.333 0.667 0.750 1
Pu3 Pu 0.655 0.827 0.250 1
Zn2 Zn 0.667 0.333 0.250 1
Pu4 Pu 0.173 0.827 0.250 1
Pu5 Pu 0.827 0.173 0.750 1
Pu6 Pu 0.173 0.345 0.250 1
```

The size of the total moment comes out at 17.29 μB/f.u. The total energy comes out at -10.94 eV/atom.

***

A plane-wave DFT calculation with GGA-PBE was carried out for a relaxed structure of Pu3Zr.

```
data_Pu3Zr
_chemical_formula_sum 'Pu6 Zr2'
_space_group_name_H-M_alt 'P 1'
_space_group_IT_number 1
_space_group_name_Hall 'P 1'
_cell_length_a 6.533
_cell_length_b 6.533
_cell_length_c 5.393
_cell_angle_alpha 90.00
_cell_angle_beta 90.00
_cell_angle_gamma 120.00
loop_
_atom_site_label
_atom_site_type_symbol
_atom_site_fract_x
_atom_site_fract_y
_atom_site_fract_z
_atom_site_occupancy
Pu1 Pu 0.662 0.831 0.250 1
Zr1 Zr 0.333 0.667 0.750 1
Pu2 Pu 0.338 0.169 0.750 1
Pu3 Pu 0.831 0.662 0.750 1
Zr2 Zr 0.667 0.333 0.250 1
Pu4 Pu 0.169 0.831 0.250 1
Pu5 Pu 0.169 0.338 0.250 1
Pu6 Pu 0.831 0.169 0.750 1
```

The size of the total moment comes out at 16.11 μB/f.u. As for the excess energy over the best structure of this formula in the dataset: 0.05 kcal/mol of atoms.

***

A plane-wave DFT calculation with GGA-PBE was carried out for a relaxed structure of PuZr.

```
data_PuZr
_chemical_formula_sum 'Pu1 Zr1'
_space_group_name_H-M_alt 'P 1'
_space_group_IT_number 1
_space_group_name_Hall 'P 1'
_cell_length_a 5.592
_cell_length_b 5.592
_cell_length_c 5.592
_cell_angle_alpha 34.06
_cell_angle_beta 34.06
_cell_angle_gamma 34.06
loop_
_atom_site_label
_atom_site_type_symbol
_atom_site_fract_x
_atom_site_fract_y
_atom_site_fract_z
_atom_site_occupancy
Pu1 Pu 0.000 0.000 0.000 1
Zr1 Zr 0.500 0.500 0.500 1
```

The size of the total moment comes out at 5.46 μB/f.u. The total energy comes out at -11.28 eV/atom.

***

A plane-wave DFT calculation with GGA-PBE was carried out for a relaxed structure of Pu3Zr.

```
data_Pu3Zr
_chemical_formula_sum 'Pu3 Zr1'
_space_group_name_H-M_alt 'P 1'
_space_group_IT_number 1
_space_group_name_Hall 'P 1'
_cell_length_a 5.549
_cell_length_b 5.549
_cell_length_c 5.549
_cell_angle_alpha 131.07
_cell_angle_beta 131.07
_cell_angle_gamma 71.70
loop_
_atom_site_label
_atom_site_type_symbol
_atom_site_fract_x
_atom_site_fract_y
_atom_site_fract_z
_atom_site_occupancy
Pu1 Pu 0.500 0.500 0.000 1
Pu2 Pu 0.250 0.750 0.500 1
Pu3 Pu 0.750 0.250 0.500 1
Zr1 Zr 0.000 0.000 0.000 1
```

The size of the total moment comes out at 15.86 μB/f.u. As for the excess energy over the best structure of this formula in the dataset: 0.00 kcal/mol of atoms.

***

A plane-wave DFT calculation with GGA-PBE was carried out for a relaxed structure of Rb.

```
data_Rb
_chemical_formula_sum 'Rb26'
_space_group_name_H-M_alt 'P 1'
_space_group_IT_number 1
_space_group_name_Hall 'P 1'
_cell_length_a 10.120
_cell_length_b 10.120
_cell_length_c 25.506
_cell_angle_alpha 90.00
_cell_angle_beta 90.00
_cell_angle_gamma 109.84
loop_
_atom_site_label
_atom_site_type_symbol
_atom_site_fract_x
_atom_site_fract_y
_atom_site_fract_z
_atom_site_occupancy
Rb1 Rb 0.429 0.142 0.233 1
Rb2 Rb 0.418 0.093 0.589 1
Rb3 Rb 0.399 0.587 0.573 1
Rb4 Rb 0.907 0.582 0.911 1
Rb5 Rb 0.090 0.910 0.750 1
Rb6 Rb 0.028 0.293 0.044 1
Rb7 Rb 0.040 0.825 0.107 1
Rb8 Rb 0.601 0.413 0.073 1
Rb9 Rb 0.825 0.040 0.893 1
Rb10 Rb 0.516 0.260 0.817 1
Rb11 Rb 0.293 0.028 0.956 1
Rb12 Rb 0.175 0.960 0.393 1
Rb13 Rb 0.740 0.484 0.683 1
Rb14 Rb 0.260 0.516 0.183 1
Rb15 Rb 0.707 0.972 0.456 1
Rb16 Rb 0.413 0.601 0.927 1
Rb17 Rb 0.093 0.418 0.411 1
Rb18 Rb 0.587 0.399 0.427 1
Rb19 Rb 0.910 0.090 0.250 1
Rb20 Rb 0.142 0.429 0.767 1
Rb21 Rb 0.858 0.571 0.267 1
Rb22 Rb 0.972 0.707 0.544 1
Rb23 Rb 0.484 0.740 0.317 1
Rb24 Rb 0.960 0.175 0.607 1
Rb25 Rb 0.571 0.858 0.733 1
Rb26 Rb 0.582 0.907 0.089 1
```

As for the excess energy over the best structure of this formula in the dataset: 1.43 kcal/mol of atoms.

***

A plane-wave DFT calculation with GGA-PBE was carried out for a relaxed structure of Rb.

```
data_Rb
_chemical_formula_sum 'Rb1'
_space_group_name_H-M_alt 'P 1'
_space_group_IT_number 1
_space_group_name_Hall 'P 1'
_cell_length_a 5.047
_cell_length_b 5.047
_cell_length_c 5.047
_cell_angle_alpha 60.00
_cell_angle_beta 60.00
_cell_angle_gamma 60.00
loop_
_atom_site_label
_atom_site_type_symbol
_atom_site_fract_x
_atom_site_fract_y
_atom_site_fract_z
_atom_site_occupancy
Rb1 Rb 0.000 0.000 0.000 1
```

As for the excess energy over the best structure of this formula in the dataset: 0.35 kcal/mol of atoms.